## Dy4MgIr (PBE)

Data for a relaxed structure of Dy4MgIr.

## Properties
* calculated density: 8.90 Mg/m³
* ΔE_f: -250 kJ/mol of formula units
* crystal system: cubic

a b c (Å): 13.7276 13.7276 13.7276
angles (deg): 90.00 90.00 90.00
Closest atoms and distances in Å follow each position.
Space group F-43m (No. 216)
Inequivalent atoms, fractional coordinates:
Dy 0.0000 0.0000 0.1864 [24 per cell]  2 Mg 3.32, 2 Ir 3.52, 10 Dy 3.52-3.65
Dy 0.0630 0.2500 0.7500 [24 per cell]  2 Ir 2.82
Dy 0.0975 0.0975 0.4025 [16 per cell]  3 Ir 2.83
Mg 0.1707 0.1707 0.1707 [16 per cell]  3 Mg 3.08, 3 Dy 3.32
Ir 0.1083 0.1083 0.6083 [16 per cell]  6 Dy 2.82-2.83